one) VASP calculation (PBE) on a geometry-optimized YMg6Cr structure.

a = 5.1392 Å, b = 6.4233 Å, c = 11.2952 Å
α = 90.00°, β = 90.00°, γ = 90.00°
With the nearest neighbours (Å) after each atom.
Element x y z (fractional)
Mg  0.5000  0.7551  0.4181  8 Mg 3.15-3.28, 2 Cr 3.20-3.30, 2 Y 3.25
Mg  0.0000  0.2610  0.0842  8 Mg 3.07-3.35, 2 Cr 3.13, 2 Y 3.21
Mg  0.0000  0.7390  0.0842  8 Mg 3.07-3.35, 2 Cr 3.13, 2 Y 3.21
Mg  0.5000  0.2551  0.9181  8 Mg 3.15-3.28, 2 Cr 3.20-3.30, 2 Y 3.25
Mg  0.0000  0.5000  0.8359  10 Mg 3.15-3.30, 2 Y 3.20
Mg  0.5000  0.2449  0.4181  8 Mg 3.15-3.28, 2 Cr 3.20-3.30, 2 Y 3.25
Mg  0.5000  0.7449  0.9181  8 Mg 3.15-3.28, 2 Cr 3.20-3.30, 2 Y 3.25
Mg  0.0000  0.5000  0.3282  10 Mg 3.15-3.34, 2 Cr 3.17
Mg  0.0000  0.0000  0.3359  10 Mg 3.15-3.30, 2 Y 3.20
Mg  0.0000  0.7610  0.5842  8 Mg 3.07-3.35, 2 Cr 3.13, 2 Y 3.21
Mg  0.0000  0.2390  0.5842  8 Mg 3.07-3.35, 2 Cr 3.13, 2 Y 3.21
Mg  0.0000  0.0000  0.8282  10 Mg 3.15-3.34, 2 Cr 3.17
Y  0.5000  0.0000  0.1668  10 Mg 3.20-3.25, 2 Cr 3.21
Y  0.5000  0.5000  0.6668  10 Mg 3.20-3.25, 2 Cr 3.21
Cr  0.5000  0.0000  0.6645  10 Mg 3.13-3.30, 2 Y 3.21
Cr  0.5000  0.5000  0.1645  10 Mg 3.13-3.30, 2 Y 3.21

M_tot ... 4.2 μB per formula unit

---

two) VASP calculation (PBE) on a geometry-optimized YMg6Cr structure.

a = 5.0827 Å, b = 6.5042 Å, c = 11.2894 Å
α = 90.00°, β = 90.00°, γ = 90.00°
With the nearest neighbours (Å) after each atom.
Element x y z (fractional)
Mg  0.0000  0.7400  0.0806  8 Mg 3.11-3.38, 2 Cr 3.13, 2 Y 3.18-3.34
Mg  0.0000  0.0000  0.3376  10 Mg 3.15-3.36, 2 Y 3.25
Mg  0.5000  0.2448  0.4216  8 Mg 3.11-3.32, 2 Cr 3.18-3.34, 2 Y 3.22
Mg  0.5000  0.2552  0.9216  8 Mg 3.11-3.32, 2 Cr 3.18-3.34, 2 Y 3.22
Mg  0.5000  0.0000  0.1668  10 Mg 3.19-3.29, 2 Cr 3.25
Mg  0.0000  0.2600  0.0806  8 Mg 3.11-3.38, 2 Cr 3.13, 2 Y 3.18-3.34
Mg  0.5000  0.7552  0.4216  8 Mg 3.11-3.32, 2 Cr 3.18-3.34, 2 Y 3.22
Mg  0.5000  0.5000  0.6668  10 Mg 3.19-3.29, 2 Cr 3.25
Mg  0.0000  0.2400  0.5806  8 Mg 3.11-3.38, 2 Cr 3.13, 2 Y 3.18-3.34
Mg  0.0000  0.5000  0.8376  10 Mg 3.15-3.36, 2 Y 3.25
Mg  0.5000  0.7448  0.9216  8 Mg 3.11-3.32, 2 Cr 3.18-3.34, 2 Y 3.22
Mg  0.0000  0.7600  0.5806  8 Mg 3.11-3.38, 2 Cr 3.13, 2 Y 3.18-3.34
Y  0.0000  0.0000  0.8259  2 Cr 3.12, 10 Mg 3.18-3.34
Y  0.0000  0.5000  0.3259  2 Cr 3.12, 10 Mg 3.18-3.34
Cr  0.5000  0.0000  0.6653  2 Y 3.12, 10 Mg 3.13-3.34
Cr  0.5000  0.5000  0.1653  2 Y 3.12, 10 Mg 3.13-3.34

M_tot ... 4.1 μB per formula unit

---

Tell me which of them is the least stable. Sure, it is one).